First-principles (PBE) data for a geometry-optimized ErSiNi structure, as listed in the Materials Project database. Values from VASP.

Values from the calculation:
The value obtained for the energy relative to the elements is -0.83 eV/atom.

Structure (Quantum ESPRESSO input):
```
&SYSTEM
  ibrav = 0, nat = 12, ntyp = 3
/
ATOMIC_SPECIES
Er 167.26 Er.upf
Si 28.09 Si.upf
Ni 58.69 Ni.upf
ATOMIC_POSITIONS crystal
Er 0.010 0.250 0.200
Er 0.490 0.750 0.700
Er 0.510 0.250 0.300
Er 0.990 0.750 0.800
Si 0.191 0.250 0.593
Si 0.309 0.750 0.093
Si 0.691 0.250 0.907
Si 0.809 0.750 0.407
Ni 0.184 0.750 0.421
Ni 0.316 0.250 0.921
Ni 0.684 0.750 0.079
Ni 0.816 0.250 0.579
CELL_PARAMETERS angstrom
6.761 0.000 0.000
0.000 4.120 0.000
0.000 0.000 7.074
```